# 1
This record from Materials Project describes Al8SiO14 after structural relaxation. The functional is PBE.

The structure in extended XYZ format:
```
46
Lattice="2.966 0.000 0.000 0.000 7.796 0.000 0.000 0.000 23.308" Properties=species:S:1:pos:R:3 pbc="T T T"
Al 0.000 0.135 0.000
Al 0.000 0.665 20.305
Al 0.000 0.702 4.767
Al 0.000 3.321 7.090
Al 0.000 3.644 4.177
Al 0.000 4.152 15.831
Al 0.000 4.474 18.744
Al 0.000 7.093 16.421
Al 0.000 7.131 8.651
Al 0.000 7.661 11.654
Al 1.483 1.908 9.672
Al 1.483 1.919 17.660
Al 1.483 1.931 2.140
Al 1.483 5.864 13.794
Al 1.483 5.876 6.006
Al 1.483 5.888 21.326
Si 0.000 3.050 22.729
Si 0.000 4.746 11.075
O 0.000 1.239 3.055
O 0.000 1.336 18.745
O 0.000 1.408 10.837
O 0.000 1.576 21.951
O 0.000 2.361 5.539
O 0.000 2.522 8.676
O 0.000 2.612 16.649
O 0.000 2.742 1.005
O 0.000 5.054 12.659
O 0.000 5.184 4.995
O 0.000 5.274 20.330
O 0.000 5.434 17.193
O 0.000 6.220 10.297
O 0.000 6.387 22.490
O 0.000 6.459 7.091
O 0.000 6.557 14.709
O 1.483 0.184 16.761
O 1.483 0.227 8.897
O 1.483 0.489 0.848
O 1.483 3.445 3.238
O 1.483 3.553 18.726
O 1.483 3.809 22.330
O 1.483 3.987 10.676
O 1.483 4.242 7.072
O 1.483 4.350 14.892
O 1.483 7.306 12.501
O 1.483 7.568 20.550
O 1.483 7.611 5.108
```

Calculated values
The energy above the most stable polymorph in this dataset is 22.2 meV/atom. Its calculated density is 2.9 g/cm³.

# 2
This record from Materials Project describes Al2Si2O7 after structural relaxation. The functional is PBE.

The structure in extended XYZ format:
```
22
Lattice="3.486 -3.869 0.000 3.486 3.869 0.000 -3.478 0.000 8.834" Properties=species:S:1:pos:R:3 pbc="T T T"
Al -0.438 0.573 4.222
Al -2.177 -0.573 8.638
Al 5.671 0.573 0.195
Al 3.932 -0.573 4.612
Si 1.108 1.922 1.809
Si 4.125 1.922 2.608
Si -0.631 -1.922 6.226
Si 2.386 -1.922 7.025
O 0.392 0.710 0.918
O -0.241 1.788 5.599
O -1.346 -0.710 5.335
O -1.106 0.593 7.882
O 2.616 1.426 2.208
O 0.633 -0.593 3.465
O 1.996 1.788 7.652
O 1.497 -1.788 1.182
O 2.861 0.593 5.369
O 0.877 -1.426 6.625
O 4.600 -0.593 0.952
O 4.840 0.710 3.499
O 3.735 -1.788 3.235
O 3.101 -0.710 7.916
```

Calculated values
For the uncorrected energy, the calculation gives -7.704 eV/atom. Its calculated density is 3.1 g/cm³.

# 3
This record from Materials Project describes AlSi3O8 after structural relaxation. The functional is PBE.

The structure in extended XYZ format:
```
24
Lattice="7.316 0.000 0.000 -3.470 6.895 0.000 -1.888 -3.396 6.742" Properties=species:S:1:pos:R:3 pbc="T T T"
Al 0.991 -0.591 1.892
Al 0.967 4.090 4.850
Si -1.118 1.753 1.059
Si -1.106 1.715 5.681
Si 0.995 -0.537 4.935
Si 0.963 4.036 1.808
Si 3.064 1.784 1.062
Si 3.075 1.745 5.683
O -2.518 5.159 0.558
O -0.449 0.410 1.676
O -2.676 1.645 5.250
O -0.342 3.051 1.678
O 0.981 -1.260 3.499
O -0.352 0.380 5.113
O 2.364 0.483 1.687
O 1.057 -1.619 6.162
O 0.901 5.118 0.580
O -0.406 3.016 5.056
O 2.309 3.119 1.630
O 0.977 4.759 3.243
O 2.300 0.447 5.064
O 4.634 1.854 1.493
O 2.407 3.089 5.067
O 4.476 -1.660 6.184
```

Calculated values
The energy above the most stable polymorph in this dataset is 21.7 meV/atom. Its calculated density is 2.3 g/cm³.

# 4
This record from Materials Project describes Al8SiO14 after structural relaxation. The functional is PBE.

The structure in extended XYZ format:
```
92
Lattice="23.311 0.000 0.000 0.000 5.950 0.000 0.000 0.000 7.723" Properties=species:S:1:pos:R:3 pbc="T T T"
Al 0.000 0.000 0.000
Al 0.000 2.975 0.000
Al 2.063 1.487 1.749
Al 2.108 4.462 1.737
Al 2.661 4.462 6.533
Al 3.991 0.009 3.879
Al 3.991 2.965 3.879
Al 5.031 4.462 1.308
Al 5.058 1.487 1.343
Al 6.598 4.462 5.204
Al 6.625 1.487 5.169
Al 7.665 2.984 0.018
Al 7.665 5.940 0.018
Al 8.995 1.487 2.671
Al 9.547 1.487 5.598
Al 9.593 4.462 5.610
Al 11.656 0.000 3.861
Al 11.656 2.975 3.861
Al 13.719 1.487 2.113
Al 13.764 4.462 2.125
Al 14.316 4.462 5.051
Al 15.646 0.009 7.705
Al 15.646 2.965 7.705
Al 16.687 4.462 2.553
Al 16.713 1.487 2.519
Al 18.254 4.462 6.380
Al 18.280 1.487 6.414
Al 19.320 2.984 3.843
Al 19.320 5.940 3.843
Al 20.650 1.487 1.190
Al 21.203 1.487 5.986
Al 21.248 4.462 5.974
Si 2.686 1.487 6.560
Si 8.970 4.462 2.699
Si 14.342 1.487 5.024
Si 20.625 4.462 1.162
O 0.964 4.462 7.008
O 1.087 1.487 6.954
O 1.190 2.980 1.479
O 1.190 5.945 1.479
O 2.885 4.462 3.312
O 2.911 1.487 3.261
O 3.055 0.095 5.742
O 3.055 2.880 5.742
O 3.441 1.487 0.354
O 3.446 4.462 0.424
O 4.909 2.981 2.229
O 4.909 5.943 2.229
O 5.007 4.462 4.507
O 5.059 1.487 4.432
O 6.596 4.462 0.571
O 6.649 1.487 0.646
O 6.746 0.006 6.090
O 6.746 2.968 6.090
O 8.210 1.487 4.285
O 8.214 4.462 4.215
O 8.601 3.070 1.880
O 8.601 5.855 1.880
O 8.745 4.462 7.123
O 8.770 1.487 7.173
O 10.466 0.005 5.340
O 10.466 2.970 5.340
O 10.569 4.462 3.093
O 10.692 1.487 3.147
O 12.619 4.462 4.576
O 12.743 1.487 4.630
O 12.846 2.980 2.383
O 12.846 5.945 2.383
O 14.541 4.462 0.549
O 14.566 1.487 0.600
O 14.711 0.095 5.842
O 14.711 2.880 5.842
O 15.097 1.487 3.507
O 15.101 4.462 3.437
O 16.565 2.981 1.632
O 16.565 5.943 1.632
O 16.663 4.462 7.077
O 16.715 1.487 7.152
O 18.252 4.462 3.290
O 18.304 1.487 3.215
O 18.402 0.006 5.493
O 18.402 2.968 5.493
O 19.866 1.487 7.298
O 19.870 4.462 7.369
O 20.256 3.070 1.981
O 20.256 5.855 1.981
O 20.401 4.462 4.461
O 20.426 1.487 4.411
O 22.121 0.005 6.244
O 22.121 2.970 6.244
O 22.224 4.462 0.768
O 22.347 1.487 0.715
```

Calculated values
The energy above the most stable polymorph in this dataset is 0.0 meV/atom. Its calculated density is 2.9 g/cm³.

# 5
This record from Materials Project describes Al2Si2O9 after structural relaxation. The functional is PBE.

The structure in extended XYZ format:
```
26
Lattice="2.620 -4.554 0.000 2.620 4.554 0.000 -2.300 0.000 14.716" Properties=species:S:1:pos:R:3 pbc="T T T"
Al 1.470 3.743 7.358
Al 1.693 0.843 7.363
Al 2.843 -0.843 0.005
Al 2.620 -3.743 0.000
Si 1.912 3.850 2.764
Si 0.832 2.260 10.136
Si 1.982 -2.260 2.778
Si 0.762 -3.850 10.122
O -0.517 1.485 10.541
O 0.812 3.759 10.753
O -0.040 0.545 6.434
O 0.997 2.288 8.490
O -1.190 -0.545 13.792
O 1.737 0.521 0.724
O 2.147 2.332 6.302
O 0.633 -1.485 3.183
O 0.587 -0.521 8.082
O 2.114 1.486 10.750
O 1.394 0.484 13.693
O 2.147 -2.288 1.132
O 2.544 -0.484 6.335
O 3.223 0.544 8.481
O 0.997 -2.332 13.660
O 3.264 -1.486 3.392
O 1.962 -3.759 3.395
O 4.373 -0.544 1.123
```

Calculated values
The energy above the most stable polymorph in this dataset is 1.8 meV/atom. Its calculated density is 2.4 g/cm³.

# 6
This record from Materials Project describes Al2Si2O9 after structural relaxation. The functional is PBE.

The structure in extended XYZ format:
```
52
Lattice="2.629 -4.536 0.000 2.629 4.536 0.000 -0.800 0.000 29.969" Properties=species:S:1:pos:R:3 pbc="T T T"
Al 2.230 4.401 14.982
Al 2.827 3.155 22.473
Al 2.629 1.386 0.000
Al 3.227 0.135 7.490
Al 2.229 -1.386 14.984
Al 2.827 -0.135 22.474
Al 1.830 -4.401 29.967
Al 3.227 -3.155 7.488
Si 1.197 3.060 25.244
Si 1.635 0.042 2.769
Si 1.235 -0.042 17.754
Si 1.597 0.046 10.261
Si 1.197 -0.046 25.246
Si 4.264 1.474 2.770
Si 1.597 -3.060 10.260
Si 3.864 -1.474 17.755
O 0.291 0.773 10.881
O 2.004 3.029 0.713
O 0.268 1.278 28.916
O 1.236 1.510 18.184
O 2.547 3.780 18.368
O 1.196 1.506 25.668
O -0.109 -0.773 25.866
O 1.600 0.222 1.122
O 2.482 3.028 29.062
O 2.166 1.290 6.447
O 1.628 0.223 8.613
O 1.200 -0.222 16.106
O 0.668 -1.278 13.932
O 2.180 1.510 21.561
O 1.228 -0.223 23.598
O 1.636 -1.510 3.200
O 2.947 0.760 3.384
O 1.596 -1.506 10.684
O 2.918 0.753 10.872
O 1.766 -1.290 21.431
O 3.447 1.510 23.190
O 2.547 -0.760 18.368
O 4.229 1.297 1.123
O 2.897 0.245 28.918
O 2.580 -1.510 6.577
O 2.518 -0.753 25.856
O 4.261 1.294 8.613
O 1.604 -3.029 15.697
O 3.297 -0.245 13.934
O 4.793 0.227 6.446
O 3.847 -1.510 8.206
O 2.882 -3.028 14.078
O 3.829 -1.297 16.107
O 4.393 -0.227 21.430
O 2.947 -3.780 3.384
O 3.861 -1.294 23.598
```

Calculated values
The energy above the most stable polymorph in this dataset is 0.9 meV/atom. Its calculated density is 2.4 g/cm³.

# 7
This record from Materials Project describes AlSi3O8 after structural relaxation. The functional is PBE.

The structure in extended XYZ format:
```
24
Lattice="7.464 0.000 0.000 -1.597 7.467 0.000 -2.058 -4.076 6.545" Properties=species:S:1:pos:R:3 pbc="T T T"
Al 0.677 1.750 1.269
Al 3.132 1.642 5.275
Si -1.124 1.742 5.509
Si 0.753 -2.720 5.314
Si 0.876 -0.118 3.798
Si 2.933 3.509 2.747
Si 3.055 6.112 1.230
Si 4.932 1.650 1.036
O -2.665 1.327 5.613
O 0.784 0.270 2.231
O -0.461 -2.427 6.340
O -0.957 3.207 4.771
O -0.309 0.637 4.636
O 0.717 -1.727 4.026
O 1.628 5.902 0.445
O 1.487 3.013 2.190
O 2.321 0.378 4.354
O 2.181 -2.510 6.099
O 3.091 5.119 2.518
O 4.118 2.755 1.908
O 4.766 0.185 1.774
O 4.269 5.819 0.204
O 3.025 3.122 4.313
O 6.473 2.065 0.932
```

Calculated values
The energy above the most stable polymorph in this dataset is 12.2 meV/atom. Its calculated density is 2.2 g/cm³.

# 8
This record from Materials Project describes Al3Si2O10 after structural relaxation. The functional is PBE.

The structure in extended XYZ format:
```
15
Lattice="4.606 0.000 0.000 -0.857 4.807 0.000 -1.832 -1.993 7.024" Properties=species:S:1:pos:R:3 pbc="T T T"
Al 0.000 0.000 0.000
Al 0.955 0.194 2.776
Al 0.963 2.619 4.248
Si -1.366 0.509 5.024
Si 3.284 2.305 1.999
O -0.500 0.909 1.665
O -1.162 -0.390 6.369
O -0.475 3.238 3.089
O 0.058 0.948 4.301
O 0.655 4.413 1.062
O 1.263 -1.600 5.962
O 1.860 1.866 2.723
O 2.392 -0.424 3.934
O 3.080 3.204 0.654
O 2.418 1.905 5.359
```

Calculated values
For the uncorrected energy, the calculation gives -7.126 eV/atom. Its calculated density is 3.2 g/cm³.